# 1
# BaNd2FeS5

A relaxed BaNd2FeS5 crystal (PBE-GGA, Materials Project).

Structure (POSCAR):
```
BaNd2FeS5
1.0
-3.949 3.949 6.757
3.949 -3.949 6.757
3.949 3.949 -6.757
Ba Nd Fe S
2 4 2 10
direct
0.250 0.250 0.000
0.750 0.750 0.000
0.162 0.662 0.824
0.338 0.162 0.500
0.662 0.838 0.500
0.838 0.338 0.176
0.250 0.750 0.500
0.750 0.250 0.500
0.000 0.000 0.000
0.012 0.217 0.500
0.217 0.717 0.205
0.283 0.488 0.500
0.488 0.988 0.205
0.500 0.500 0.000
0.512 0.012 0.795
0.717 0.512 0.500
0.783 0.283 0.795
0.988 0.783 0.500
```

Properties
**Volume**: 23.4 A^3/atom
**Space-group type**: No. 140
**E_form**: -1.9646 eV/atom
**Theoretical density**: 5.1 Mg/m³
**Crystal system**: tetragonal
**Corrected total energy (MP2020 scheme)**: -6.477 eV/atom

---

# 2
# RbNaMg14

A relaxed RbNaMg14 crystal (PBE-GGA, Materials Project).

Structure (POSCAR):
```
RbNaMg14
1.0
10.919 0.000 0.000
0.000 3.219 5.832
0.000 -3.219 5.832
Rb Na Mg
1 1 14
direct
0.000 0.000 0.000
0.000 0.499 0.499
0.000 0.002 0.498
0.000 0.498 0.002
0.252 0.669 0.669
0.265 0.173 0.173
0.273 0.166 0.657
0.273 0.657 0.166
0.500 0.001 0.001
0.500 0.500 0.998
0.500 0.502 0.502
0.500 0.998 0.500
0.727 0.166 0.657
0.727 0.657 0.166
0.735 0.173 0.173
0.748 0.669 0.669
```

Properties
**Volume**: 25.6 A^3/atom
**Space-group type**: No. 38
**E_form**: 0.1394 eV/atom
**Theoretical density**: 1.8 Mg/m³
**Crystal system**: orthorhombic
**Relative energy among the computed polymorphs**: 0 meV per atom

---

# 3
# Na6Sc4Si3S3O24

A relaxed Na6Sc4Si3S3O24 crystal (PBE-GGA, Materials Project).

Structure (POSCAR):
```
Na6Sc4Si3S3O24
1.0
9.133 0.000 0.000
4.545 7.923 0.000
0.126 -0.067 22.645
Na Sc Si S O
18 12 9 9 72
direct
0.000 0.000 0.000
0.001 0.297 0.517
0.020 0.624 0.749
0.023 0.640 0.256
0.293 0.327 0.672
0.302 0.671 0.172
0.331 0.360 0.345
0.334 0.982 0.590
0.335 0.604 0.833
0.346 0.977 0.081
0.374 0.284 0.996
0.378 0.636 0.508
0.657 0.326 0.920
0.658 0.963 0.159
0.661 0.311 0.432
0.667 0.667 0.663
0.686 0.620 0.354
0.686 0.993 0.842
0.006 0.636 0.606
0.008 0.647 0.103
0.012 0.641 0.905
0.013 0.646 0.408
0.313 0.001 0.732
0.324 0.986 0.237
0.349 0.968 0.445
0.352 0.979 0.941
0.648 0.327 0.273
0.650 0.316 0.066
0.659 0.326 0.768
0.663 0.330 0.571
0.298 0.655 0.005
0.303 0.346 0.504
0.328 0.690 0.335
0.334 0.281 0.838
0.363 0.314 0.172
0.365 0.620 0.672
0.709 0.648 0.504
0.709 0.940 0.006
0.960 0.316 0.668
0.036 0.277 0.338
0.038 0.984 0.840
0.628 0.982 0.335
0.629 0.688 0.837
0.670 0.021 0.672
0.670 0.609 0.172
0.959 0.026 0.171
0.998 0.943 0.504
0.999 0.356 0.005
0.018 0.450 0.339
0.021 0.827 0.842
0.025 0.837 0.556
0.026 0.437 0.057
0.112 0.182 0.392
0.116 0.000 0.895
0.136 0.995 0.175
0.147 0.191 0.286
0.148 0.959 0.789
0.154 0.185 0.000
0.154 0.960 0.498
0.156 0.158 0.673
0.166 0.658 0.338
0.168 0.473 0.841
0.180 0.490 0.168
0.181 0.438 0.561
0.181 0.635 0.666
0.183 0.680 0.065
0.210 0.616 0.949
0.216 0.466 0.444
0.300 0.831 0.999
0.301 0.169 0.495
0.316 0.794 0.274
0.324 0.182 0.780
0.357 0.137 0.177
0.357 0.165 0.897
0.360 0.782 0.391
0.367 0.798 0.679
0.450 0.499 0.731
0.458 0.342 0.229
0.484 0.484 0.010
0.487 0.284 0.114
0.487 0.529 0.614
0.488 0.329 0.509
0.505 0.498 0.333
0.509 0.296 0.837
0.511 0.780 0.174
0.512 0.806 0.501
0.513 0.979 0.002
0.515 0.003 0.675
0.517 0.013 0.387
0.519 0.772 0.890
0.545 0.963 0.281
0.550 0.789 0.784
0.645 0.518 0.835
0.646 0.132 0.622
0.649 0.134 0.330
0.653 0.519 0.121
0.686 0.098 0.729
0.686 0.514 0.228
0.697 0.473 0.504
0.701 0.127 0.009
0.794 0.826 0.340
0.795 0.833 0.066
0.796 0.677 0.844
0.798 0.672 0.562
0.815 0.638 0.169
0.816 0.633 0.442
0.819 0.851 0.667
0.825 0.848 0.947
0.838 0.335 0.725
0.850 0.113 0.508
0.852 0.330 0.012
0.855 0.118 0.222
0.864 0.299 0.330
0.866 0.131 0.835
0.879 0.291 0.608
0.885 0.119 0.116
0.968 0.856 0.170
0.970 0.492 0.669
0.975 0.456 0.951
0.981 0.862 0.449
```

Properties
**Volume**: 13.7 A^3/atom
**Space-group type**: No. 1
**E_form**: -2.8163 eV/atom
**Theoretical density**: 2.7 Mg/m³
**Crystal system**: triclinic
**Corrected total energy (MP2020 scheme)**: -7.334 eV/atom

---

Question: volume of number 1 (BaNd2FeS5)?
Answer: 23.4 A^3/atom

---

Question: Which of these has the highest E_form?
Answer: RbNaMg14

---

Question: Which of these has the highest theoretical density?
Answer: BaNd2FeS5

---

Question: theoretical density of number 2 (RbNaMg14)?
Answer: 1.8 Mg/m³